Below is a relaxed structure of BaCaVP2O9, with properties calculated at the PBE+U level.

```
56
Lattice="7.1602 0.0000 0.0000 0.0000 7.4105 0.0000 0.0000 2.9508 14.3475" Properties=species:S:1:pos:R:3 pbc="T T T"
O 2.0389 3.4519 4.2565
O 5.0341 1.3602 5.8578
O 3.7841 9.3089 10.8049
Ba 1.9038 7.3420 13.3062
O 2.9828 4.5401 14.2706
V 7.0507 6.7442 2.3804
O 4.1774 5.8212 0.0769
Ba 5.4839 4.4948 8.2151
O 3.1416 3.3107 6.7953
O 6.7217 5.5752 0.3784
P 5.5423 6.5216 0.0261
O 1.9835 1.3109 5.9509
O 5.6190 5.4339 2.9172
O 1.4540 7.5257 1.3160
Ba 1.6763 5.8666 6.1324
P 1.6179 3.8397 14.3214
Ca 7.0234 2.3940 4.8514
O 1.5966 2.7863 13.1246
O 1.2947 5.5452 3.1412
Ba 5.2564 3.0193 1.0413
O 5.5636 7.5750 1.2229
O 0.4385 4.7861 13.9691
O 3.2341 4.7046 9.6615
Ca 3.4433 6.4919 2.3223
O 3.3761 1.0524 3.5426
P 1.5999 4.0114 2.8477
P 1.9802 5.4868 10.0215
O 4.4334 6.3088 12.5403
O 3.9261 5.6567 4.6860
O 1.5412 4.9274 11.4303
P 5.1980 7.9970 7.1999
O 6.8142 7.1321 11.8597
O 5.8655 4.8161 11.2063
V 3.4706 2.1417 4.7933
O 0.2040 2.5278 10.7163
Ca 0.1368 7.9673 9.4961
V 0.1095 3.6171 11.9671
O 6.3069 4.8334 5.3666
O 4.0186 7.0506 7.5522
P 1.9622 2.3643 7.1476
P 5.5603 6.3499 11.4998
O 0.8533 5.5279 8.9809
O 4.8748 3.3407 4.0325
O 2.1261 9.0011 8.4897
O 0.3460 3.2292 2.4878
O 5.1213 6.9094 10.0910
V 3.6896 8.2196 9.5542
P 5.1800 4.8745 4.3260
Ca 3.7169 3.8695 12.0252
O 2.7268 4.0525 1.8072
O 0.5973 3.0647 7.0968
O 5.7062 2.8356 13.0315
O 5.1767 9.0504 8.3966
O 6.9562 7.8335 3.6312
O 6.5629 7.2966 7.2507
O 2.2854 7.0206 10.3150
```

For the calculated volume, the calculation gives 761.3 Å³/cell. The calculation puts the magnetic moment at 0.07 μB/atom. The total energy comes out at -413.57 eV/cell. The mass density comes out at 3.79 Mg/m³.